Here is a relaxed structure of TeO2 from the Materials Project. Energies are from GGA-PBE.

Output
The piezoelectric modulus e_max is 0.6 C/m². The formation energy from the elements is -1.483 eV per atom.

Structure (POSCAR):
```
TeO2
1.0
4.471 0.000 0.000
0.000 5.109 0.000
0.000 0.000 8.798
O Te
8 4
direct
0.838 0.259 0.218
0.281 0.359 0.460
0.719 0.859 0.040
0.781 0.141 0.540
0.662 0.741 0.718
0.219 0.641 0.960
0.338 0.241 0.782
0.162 0.759 0.282
0.882 0.459 0.397
0.118 0.959 0.103
0.618 0.541 0.897
0.382 0.041 0.603
```


Here is a relaxed structure of Mg30NbCdO32 from the Materials Project. Energies are from GGA-PBE.

Output
The formation energy from the elements is -2.910 eV per atom. For the total magnetic moment, the calculation gives 3.00 Bohr magnetons per cell.

Structure (POSCAR):
```
Mg30NbCdO32
1.0
8.584 0.000 0.000
0.000 8.584 0.000
0.000 0.000 8.630
O Mg Nb Cd
32 30 1 1
direct
0.249 0.249 0.750
0.000 0.000 0.250
0.252 0.500 0.500
0.500 0.000 0.751
0.751 0.249 0.250
0.000 0.000 0.750
0.500 0.252 0.000
0.252 0.500 0.000
0.500 0.748 0.000
0.748 0.500 0.500
0.500 0.000 0.249
0.500 0.252 0.500
0.000 0.737 0.000
0.737 0.000 0.000
0.249 0.751 0.750
0.735 0.000 0.500
0.751 0.751 0.250
0.000 0.500 0.249
0.500 0.748 0.500
0.249 0.249 0.250
0.249 0.751 0.250
0.263 0.000 0.000
0.000 0.263 0.000
0.000 0.735 0.500
0.500 0.500 0.750
0.500 0.500 0.250
0.000 0.265 0.500
0.265 0.000 0.500
0.000 0.500 0.751
0.751 0.249 0.750
0.751 0.751 0.750
0.748 0.500 0.000
0.000 0.500 0.000
0.250 0.500 0.250
0.252 0.748 0.500
0.748 0.252 0.500
0.000 0.254 0.250
0.500 0.500 0.500
0.254 0.000 0.750
0.000 0.500 0.500
0.252 0.252 0.500
0.500 0.000 0.000
0.500 0.500 0.000
0.500 0.250 0.250
0.748 0.748 0.000
0.250 0.500 0.750
0.252 0.748 0.000
0.500 0.750 0.750
0.000 0.746 0.250
0.254 0.000 0.250
0.748 0.748 0.500
0.500 0.750 0.250
0.500 0.000 0.500
0.500 0.250 0.750
0.748 0.252 0.000
0.746 0.000 0.750
0.750 0.500 0.250
0.750 0.500 0.750
0.746 0.000 0.250
0.000 0.254 0.750
0.252 0.252 0.000
0.000 0.746 0.750
0.000 0.000 0.000
0.000 0.000 0.500
```


Here is a relaxed structure of CrAgSe2 from the Materials Project. Energies are from GGA-PBE.

Output
The formation energy from the elements is -0.430 eV per atom. For the total magnetic moment, the calculation gives 2.99 Bohr magnetons per cell.

Structure (POSCAR):
```
CrAgSe2
1.0
-3.528 -7.043 -0.533
-1.576 -7.335 2.461
-4.784 -5.735 2.560
Se Cr Ag
2 1 1
direct
0.860 0.860 0.860
0.994 0.994 0.994
0.257 0.257 0.257
0.748 0.748 0.748
```


Here is a relaxed structure of NdBiPd from the Materials Project. Energies are from GGA-PBE.

Output
The piezoelectric modulus e_max is 0.4 C/m². The formation energy from the elements is -0.946 eV per atom.

Structure (POSCAR):
```
NdBiPd
1.0
-3.434 -3.434 0.000
-3.434 0.000 -3.434
0.000 -3.434 -3.434
Bi Nd Pd
1 1 1
direct
0.000 0.000 0.000
0.500 0.500 0.500
0.750 0.750 0.750
```


Here is a relaxed structure of CsNa2Ge17 from the Materials Project. Energies are from GGA-PBE.

Output
The formation energy from the elements is -0.079 eV per atom.

Structure (POSCAR):
```
CsNa2Ge17
1.0
1.006 6.584 8.999
-9.139 4.240 4.883
-3.217 -3.731 10.054
Ge Na Cs
34 4 2
direct
0.860 0.632 0.254
0.407 0.407 0.780
0.500 0.500 0.500
0.996 0.618 0.390
0.843 0.843 0.843
0.860 0.254 0.254
0.780 0.407 0.407
0.254 0.860 0.254
0.390 0.996 0.996
0.254 0.860 0.632
0.254 0.254 0.632
0.632 0.254 0.254
0.254 0.632 0.254
0.632 0.860 0.254
0.750 0.750 0.750
0.254 0.254 0.860
0.470 0.843 0.843
0.996 0.390 0.618
0.860 0.254 0.632
0.843 0.843 0.470
0.632 0.254 0.860
0.407 0.780 0.407
0.843 0.470 0.843
0.390 0.996 0.618
0.996 0.390 0.996
0.254 0.632 0.860
0.618 0.996 0.390
0.390 0.618 0.996
0.996 0.996 0.390
0.618 0.390 0.996
0.407 0.407 0.407
0.996 0.618 0.996
0.618 0.996 0.996
0.996 0.996 0.618
0.125 0.625 0.625
0.625 0.125 0.625
0.625 0.625 0.625
0.625 0.625 0.125
0.000 0.000 0.000
0.250 0.250 0.250
```


Here is a relaxed structure of Ce4P5SO28 from the Materials Project. Energies are from GGA-PBE.

Output
The formation energy from the elements is -2.476 eV per atom. For the total magnetic moment, the calculation gives 9.00 Bohr magnetons per cell.

Structure (POSCAR):
```
Ce4P5SO28
1.0
4.938 8.062 0.000
-4.938 8.062 0.000
0.000 5.756 8.485
O P Ce S
28 5 4 1
direct
0.084 0.472 0.020
0.117 0.228 0.521
0.930 0.009 0.145
0.772 0.883 0.479
0.800 0.276 0.645
0.698 0.125 0.024
0.991 0.070 0.855
0.487 0.713 0.701
0.287 0.513 0.299
0.012 0.928 0.639
0.715 0.497 0.184
0.127 0.702 0.528
0.233 0.115 0.027
0.060 0.663 0.142
0.528 0.916 0.980
0.659 0.066 0.645
0.277 0.801 0.154
0.475 0.080 0.521
0.337 0.940 0.858
0.920 0.525 0.479
0.934 0.341 0.355
0.072 0.988 0.361
0.298 0.873 0.472
0.503 0.285 0.816
0.875 0.302 0.976
0.885 0.767 0.973
0.199 0.723 0.846
0.724 0.200 0.355
0.871 0.129 0.000
0.059 0.655 0.995
0.944 0.344 0.500
0.345 0.941 0.005
0.656 0.056 0.500
0.251 0.977 0.674
0.023 0.749 0.326
0.745 0.023 0.839
0.977 0.255 0.161
0.130 0.870 0.500
```


In order of appearance, theoretical density = 5.27, 3.78, 6.22, 9.43, 4.73, 2.94 g cm⁻³.